# Mg5Ti13O30, relaxed, DFT PBE
data_Mg5Ti13O30
_space_group_name_H-M_alt 'P 1'
_space_group_IT_number 1
_cell_length_a 10.1063
_cell_length_b 5.2563
_cell_length_c 10.6767
_cell_angle_alpha 83.81
_cell_angle_beta 90.00
_cell_angle_gamma 90.00
loop_
_space_group_symop_operation_xyz
'x,y,z'
loop_
_atom_site_label
_atom_site_fract_x
_atom_site_fract_y
_atom_site_fract_z
O1 0.8634 0.0748 0.0150
O2 0.3130 0.1458 0.2294
O3 0.8193 0.8484 0.7701
O4 0.6855 0.4791 0.8955
O5 0.0000 0.6250 0.9173
O6 0.5000 0.7026 0.7397
O7 0.8159 0.5224 0.1032
O8 0.1366 0.0748 0.0150
O9 0.6366 0.9248 0.9841
O10 0.0000 0.9502 0.5976
O11 0.3120 0.8160 0.5634
O12 0.1833 0.1881 0.4388
O13 0.0000 0.2992 0.2596
O14 0.6367 0.5908 0.3180
O15 0.3634 0.9248 0.9841
O16 0.8630 0.7420 0.3488
O17 0.3610 0.2591 0.6525
O18 0.1841 0.5224 0.1032
O19 0.8167 0.1881 0.4388
O20 0.1370 0.7420 0.3488
O21 0.5000 0.3671 0.0737
O22 0.1301 0.4146 0.6828
O23 0.6880 0.8160 0.5634
O24 0.1807 0.8484 0.7701
O25 0.5000 0.0335 0.4073
O26 0.3145 0.4791 0.8955
O27 0.6390 0.2591 0.6525
O28 0.6870 0.1458 0.2294
O29 0.3633 0.5908 0.3180
O30 0.8699 0.4146 0.6828
Ti1 0.1886 0.1076 0.6189
Ti2 0.3169 0.2270 0.0456
Ti3 0.1823 0.4428 0.2888
Ti4 0.8120 0.7780 0.9579
Ti5 0.6827 0.8903 0.3766
Ti6 0.0000 0.6585 0.7321
Ti7 0.6831 0.2270 0.0456
Ti8 0.1880 0.7780 0.9579
Ti9 0.8114 0.1076 0.6189
Ti10 0.3173 0.8903 0.3766
Ti11 0.3181 0.5618 0.7135
Ti12 0.6819 0.5618 0.7135
Ti13 0.8177 0.4428 0.2888
Mg1 0.5000 0.0094 0.6003
Mg2 0.0000 0.3231 0.0657
Mg3 0.5000 0.6728 0.9358
Mg4 0.0000 0.9914 0.3964
Mg5 0.5000 0.3404 0.2685
# energy of formation from the pure elements = -3423.9 meV/atom
# calculated volume = 563.9 Å³ per cell